Here is a geometry-optimized Ba2GaP4HO14 structure from the Materials Project. Energies are from PBE.

For the calculated volume, the calculation gives 287.4 Å³ per cell. The value obtained for the energy of formation from the pure elements is -62.1 eV/f.u. The calculation puts the electronic total energy at -6.99 eV per atom.

It has space group P-1 (No. 2), with a = 4.849 Å, b = 7.664 Å, c = 8.680 Å, α = 108.08°, β = 97.04° and γ = 105.78°. The inequivalent atoms are Ba at (0.146, 0.474, 0.241), Ga at (0.000, 0.000, 0.500), P at (0.375, 0.172, 0.874), P at (0.454, 0.817, 0.639), H at (0.000, 0.000, 0.000), O at (0.157, 0.148, 0.988), O at (0.220, 0.132, 0.368), O at (0.252, 0.207, 0.717), O at (0.261, 0.838, 0.495), O at (0.334, 0.669, 0.033), O at (0.344, 0.612, 0.642) and O at (0.421, 0.960, 0.811).